[1]
# BeO, relaxed, DFT meta-GGA r2SCAN
data_BeO
_cell_length_a 2.6852
_cell_length_b 4.6086
_cell_length_c 4.6086
_cell_angle_alpha 90.00
_cell_angle_beta 90.00
_cell_angle_gamma 90.00
_symmetry_space_group_name_H-M 'P 1'
_symmetry_Int_Tables_number 1
loop_
_symmetry_equiv_pos_as_xyz
'x,y,z'
loop_
_atom_site_label
_atom_site_type_symbol
_atom_site_fract_x
_atom_site_fract_y
_atom_site_fract_z
_atom_site_occupancy
Be1 Be 0.0000 0.3264 0.6736 1
Be2 Be 0.5000 0.8264 0.8264 1
Be3 Be 0.5000 0.1736 0.1736 1
Be4 Be 0.0000 0.6736 0.3264 1
O1 O 0.0000 0.3114 0.3114 1
O2 O 0.5000 0.1886 0.8114 1
O3 O 0.5000 0.8114 0.1886 1
O4 O 0.0000 0.6886 0.6886 1
# space-group type	P4_2/mnm (136)

[2]
# BeO, relaxed, DFT meta-GGA r2SCAN
data_BeO
_cell_length_a 2.6852
_cell_length_b 2.6852
_cell_length_c 2.6852
_cell_angle_alpha 60.00
_cell_angle_beta 60.00
_cell_angle_gamma 60.00
_symmetry_space_group_name_H-M 'P 1'
_symmetry_Int_Tables_number 1
loop_
_symmetry_equiv_pos_as_xyz
'x,y,z'
loop_
_atom_site_label
_atom_site_type_symbol
_atom_site_fract_x
_atom_site_fract_y
_atom_site_fract_z
_atom_site_occupancy
Be1 Be 0.0000 0.0000 0.0000 1
O1 O 0.2500 0.2500 0.2500 1
# space-group type	F-43m (216)

[3]
# BeTlPO4, relaxed, DFT meta-GGA r2SCAN
data_BeTlPO4
_cell_length_a 4.8374
_cell_length_b 8.0698
_cell_length_c 9.3582
_cell_angle_alpha 90.00
_cell_angle_beta 90.00
_cell_angle_gamma 90.00
_symmetry_space_group_name_H-M 'P 1'
_symmetry_Int_Tables_number 1
loop_
_symmetry_equiv_pos_as_xyz
'x,y,z'
loop_
_atom_site_label
_atom_site_type_symbol
_atom_site_fract_x
_atom_site_fract_y
_atom_site_fract_z
_atom_site_occupancy
Be1 Be 0.9657 0.1166 0.1477 1
Be2 Be 0.4657 0.8834 0.8523 1
Be3 Be 0.4657 0.6166 0.3523 1
Be4 Be 0.9657 0.3834 0.6477 1
Tl1 Tl 0.9731 0.8455 0.4683 1
Tl2 Tl 0.4731 0.1545 0.5317 1
Tl3 Tl 0.4731 0.3455 0.0317 1
Tl4 Tl 0.9731 0.6545 0.9683 1
P1 P 0.4659 0.9203 0.1712 1
P2 P 0.9659 0.0797 0.8288 1
P3 P 0.9659 0.4203 0.3288 1
P4 P 0.4659 0.5797 0.6712 1
O1 O 0.5564 0.7927 0.2821 1
O2 O 0.0564 0.2073 0.7179 1
O3 O 0.0564 0.2927 0.2179 1
O4 O 0.5564 0.7073 0.7821 1
O5 O 0.5019 0.8446 0.0221 1
O6 O 0.0019 0.1554 0.9779 1
O7 O 0.0019 0.3446 0.4779 1
O8 O 0.5019 0.6554 0.5221 1
O9 O 0.1626 0.9660 0.1978 1
O10 O 0.6626 0.0340 0.8022 1
O11 O 0.6626 0.4660 0.3021 1
O12 O 0.1626 0.5340 0.6978 1
O13 O 0.6454 0.0768 0.1863 1
O14 O 0.1454 0.9232 0.8137 1
O15 O 0.1454 0.5768 0.3137 1
O16 O 0.6454 0.4232 0.6863 1
# space-group type	Pna2_1 (33)

[4]
# Be2SiO4, relaxed, DFT meta-GGA r2SCAN
data_Be2SiO4
_cell_length_a 7.7067
_cell_length_b 7.7067
_cell_length_c 7.7067
_cell_angle_alpha 108.01
_cell_angle_beta 108.01
_cell_angle_gamma 108.01
_symmetry_space_group_name_H-M 'P 1'
_symmetry_Int_Tables_number 1
loop_
_symmetry_equiv_pos_as_xyz
'x,y,z'
loop_
_atom_site_label
_atom_site_type_symbol
_atom_site_fract_x
_atom_site_fract_y
_atom_site_fract_z
_atom_site_occupancy
Be1 Be 0.8723 0.1022 0.2784 1
Be2 Be 0.1022 0.2784 0.8723 1
Be3 Be 0.2784 0.8723 0.1022 1
Be4 Be 0.1277 0.8978 0.7216 1
Be5 Be 0.8978 0.7216 0.1277 1
Be6 Be 0.7216 0.1277 0.8978 1
Be7 Be 0.3904 0.7944 0.5689 1
Be8 Be 0.5689 0.3904 0.7944 1
Be9 Be 0.7944 0.5689 0.3904 1
Be10 Be 0.6096 0.2056 0.4311 1
Be11 Be 0.4311 0.6096 0.2056 1
Be12 Be 0.2056 0.4311 0.6096 1
Si1 Si 0.5384 0.7660 0.9456 1
Si2 Si 0.7660 0.9456 0.5384 1
Si3 Si 0.9456 0.5384 0.7660 1
Si4 Si 0.4616 0.2340 0.0544 1
Si5 Si 0.2340 0.0544 0.4616 1
Si6 Si 0.0544 0.4616 0.2340 1
O1 O 0.2931 0.6241 0.3286 1
O2 O 0.3286 0.2931 0.6241 1
O3 O 0.6241 0.3286 0.2931 1
O4 O 0.7069 0.3759 0.6714 1
O5 O 0.6714 0.7069 0.3759 1
O6 O 0.3759 0.6714 0.7069 1
O7 O 0.0402 0.3380 0.3711 1
O8 O 0.3711 0.0402 0.3380 1
O9 O 0.3380 0.3711 0.0402 1
O10 O 0.9598 0.6620 0.6289 1
O11 O 0.6289 0.9598 0.6620 1
O12 O 0.6620 0.6289 0.9598 1
O13 O 0.9162 0.5835 0.2506 1
O14 O 0.2506 0.9162 0.5835 1
O15 O 0.5835 0.2506 0.9162 1
O16 O 0.0838 0.4165 0.7494 1
O17 O 0.7494 0.0838 0.4165 1
O18 O 0.4165 0.7494 0.0838 1
O19 O 0.9630 0.2948 0.9970 1
O20 O 0.9970 0.9630 0.2948 1
O21 O 0.2948 0.9970 0.9630 1
O22 O 0.0370 0.7052 0.0030 1
O23 O 0.0030 0.0370 0.7052 1
O24 O 0.7052 0.0030 0.0370 1
# space-group type	R-3 (148)

| no. | DFT formation energy (kcal/mol of atoms) | energy (eV per atom) | magnetic moment (μB/cell) |
| --- | --- | --- | --- |
| 1 | -68.91 | -8.143 | 0.000 |
| 2 | -69.10 | -8.152 | 0.000 |
| 3 | -55.69 | -15.331 | 0.000 |
| 4 | -69.97 | -8.940 | 0.000 |